VASP calculation (r²SCAN) on a relaxed Tb2S3 crystal.

```
Tb2S3
1.0
17.682 0.032 12.526
5.905 5.905 0.000
0.000 0.000 8.351
Tb S
16 24
direct
0.993 0.401 0.249
0.993 0.119 0.771
0.088 0.618 0.368
0.167 0.250 0.632
0.340 0.381 0.251
0.246 0.882 0.132
0.340 0.099 0.729
0.167 0.750 0.868
0.493 0.271 0.619
0.667 0.368 0.250
0.588 0.868 0.118
0.667 0.132 0.750
0.493 0.749 0.901
0.746 0.632 0.382
0.840 0.229 0.599
0.840 0.751 0.881
0.048 0.997 0.364
0.130 0.485 0.989
0.048 0.360 0.493
0.286 0.140 0.136
0.286 0.503 0.007
0.203 0.015 0.879
0.130 0.625 0.621
0.382 0.002 0.349
0.203 0.875 0.510
0.451 0.495 0.998
0.382 0.352 0.505
0.630 0.121 0.125
0.630 0.490 0.985
0.548 0.993 0.860
0.451 0.651 0.648
0.703 0.010 0.375
0.548 0.864 0.497
0.786 0.507 0.003
0.703 0.379 0.515
0.951 0.148 0.151
0.951 0.498 0.995
0.786 0.636 0.640
0.882 0.005 0.852
0.882 0.849 0.502
```

Properties
* calculated formation energy: -2.360 eV/atom
* V: 870.30 Å³/cell